a.
This record from the Materials Project database describes NaO5 after structural relaxation. The functional is PBE.

Cell: 7.2365 7.2365 10.2523 Å, 128.94 128.94 25.61°
Fractional coordinates of all 12 atoms:
Na 0.0855 0.0855 0.2425
Na 0.9145 0.9145 0.7575
O 0.1159 0.1159 0.0363
O 0.2544 0.2544 0.5374
O 0.3718 0.3718 0.3146
O 0.3863 0.3863 0.9615
O 0.4541 0.4541 0.3041
O 0.5459 0.5459 0.6959
O 0.6137 0.6137 0.0385
O 0.6282 0.6282 0.6854
O 0.7456 0.7456 0.4626
O 0.8841 0.8841 0.9637

b.
This record from the Materials Project database describes NaO5 after structural relaxation. The functional is PBE.

Cell: 7.5614 7.5614 9.6973 Å, 129.01 129.01 23.52°
Fractional coordinates of all 12 atoms:
Na 0.0755 0.0755 0.2448
Na 0.9245 0.9245 0.7552
O 0.1133 0.1133 0.0330
O 0.2731 0.2731 0.5324
O 0.3421 0.3421 0.9073
O 0.4013 0.4013 0.3478
O 0.4923 0.4923 0.3665
O 0.5077 0.5077 0.6335
O 0.5987 0.5987 0.6522
O 0.6579 0.6579 0.0927
O 0.7269 0.7269 0.4676
O 0.8867 0.8867 0.9670

Relative energies, eV/atom: a 0.044; b 0.000.

a.
This record from the Materials Project database describes NaO2 after structural relaxation. The functional is PBE.

Cell: 3.3645 3.3645 3.3645 Å, 82.32 82.32 82.32°
Fractional coordinates of all 3 atoms:
Na 0.0000 0.0000 0.0000
O 0.3965 0.3965 0.3965
O 0.6035 0.6035 0.6035

b.
This record from the Materials Project database describes NaO2 after structural relaxation. The functional is PBE.

Cell: 4.2296 5.6747 3.4740 Å, 90.00 90.00 90.00°
Fractional coordinates of all 6 atoms:
Na 0.0000 0.0000 0.0000
Na 0.5000 0.5000 0.5000
O 0.1159 0.4179 0.0000
O 0.3841 0.9179 0.5000
O 0.6159 0.0821 0.5000
O 0.8841 0.5821 0.0000

c.
This record from the Materials Project database describes NaO2 after structural relaxation. The functional is PBE.

Cell: 5.1482 6.5009 9.3758 Å, 90.00 90.00 90.00°
Fractional coordinates of all 24 atoms:
Na 0.1553 0.2366 0.1224
Na 0.1553 0.2634 0.6224
Na 0.3447 0.7366 0.1224
Na 0.3447 0.7634 0.6224
Na 0.6553 0.2366 0.3776
Na 0.6553 0.2634 0.8776
Na 0.8447 0.7366 0.3776
Na 0.8447 0.7634 0.8776
O 0.0776 0.0568 0.3433
O 0.0776 0.4432 0.8433
O 0.2226 0.5389 0.4362
O 0.2226 0.9611 0.9362
O 0.2774 0.0389 0.4362
O 0.2774 0.4611 0.9362
O 0.4224 0.5568 0.3433
O 0.4224 0.9432 0.8433
O 0.5776 0.0568 0.1567
O 0.5776 0.4432 0.6567
O 0.7226 0.5389 0.0638
O 0.7226 0.9611 0.5638
O 0.7774 0.0389 0.0638
O 0.7774 0.4611 0.5638
O 0.9224 0.5568 0.1567
O 0.9224 0.9432 0.6567

Relative energies, eV/atom: a 0.115; b 0.000; c 0.022.

a.
This record from the Materials Project database describes NaO2 after structural relaxation. The functional is PBE.

Cell: 5.1951 6.5458 9.2183 Å, 90.00 90.00 90.00°
Fractional coordinates of all 24 atoms:
Na 0.1555 0.1287 0.1168
Na 0.1555 0.3713 0.6168
Na 0.3445 0.6287 0.1168
Na 0.3445 0.8713 0.6168
Na 0.6555 0.1287 0.3832
Na 0.6555 0.3713 0.8832
Na 0.8445 0.6287 0.3832
Na 0.8445 0.8713 0.8832
O 0.0670 0.2009 0.8396
O 0.0670 0.2991 0.3396
O 0.1747 0.1373 0.4124
O 0.1747 0.3627 0.9124
O 0.3253 0.6373 0.4124
O 0.3253 0.8627 0.9124
O 0.4330 0.7009 0.8396
O 0.4330 0.7991 0.3396
O 0.5670 0.2009 0.6604
O 0.5670 0.2991 0.1604
O 0.6747 0.1373 0.0876
O 0.6747 0.3627 0.5876
O 0.8253 0.6373 0.0876
O 0.8253 0.8627 0.5876
O 0.9330 0.7009 0.6604
O 0.9330 0.7991 0.1604

b.
This record from the Materials Project database describes NaO2 after structural relaxation. The functional is PBE.

Cell: 5.5229 5.5229 5.5229 Å, 90.00 90.00 90.00°
Fractional coordinates of all 12 atoms:
Na 0.0000 0.0000 0.0000
Na 0.0000 0.5000 0.5000
Na 0.5000 0.0000 0.5000
Na 0.5000 0.5000 0.0000
O 0.0708 0.5708 0.9292
O 0.0708 0.9292 0.4292
O 0.4292 0.0708 0.9292
O 0.4292 0.4292 0.4292
O 0.5708 0.5708 0.5708
O 0.5708 0.9292 0.0708
O 0.9292 0.0708 0.5708
O 0.9292 0.4292 0.0708

c.
This record from the Materials Project database describes NaO2 after structural relaxation. The functional is PBE.

Cell: 4.3287 4.3287 4.5785 Å, 90.00 90.00 90.00°
Fractional coordinates of all 6 atoms:
Na 0.0000 0.0000 0.0000
Na 0.5000 0.5000 0.5000
O 0.1107 0.1107 0.5000
O 0.3893 0.6107 0.0000
O 0.6107 0.3893 0.0000
O 0.8893 0.8893 0.5000

Relative energies, eV/atom: a 0.057; b 0.000; c 0.045.

a.
This record from the Materials Project database describes NaO8 after structural relaxation. The functional is PBE.

Cell: 5.6958 15.7583 6.7539 Å, 90.00 100.01 90.00°
Fractional coordinates of all 36 atoms:
Na 0.0254 0.2026 0.4420
Na 0.0254 0.2974 0.9420
Na 0.9746 0.7026 0.0580
Na 0.9746 0.7974 0.5580
O 0.0398 0.5856 0.8350
O 0.0398 0.9144 0.3350
O 0.0715 0.1018 0.8526
O 0.0715 0.3982 0.3526
O 0.1568 0.0371 0.9587
O 0.1568 0.4629 0.4587
O 0.2855 0.2138 0.1882
O 0.2855 0.2862 0.6882
O 0.3262 0.6808 0.3077
O 0.3262 0.8192 0.8077
O 0.3547 0.0772 0.5002
O 0.3547 0.4228 0.0002
O 0.4829 0.7327 0.2443
O 0.4829 0.7673 0.7443
O 0.4914 0.0915 0.6596
O 0.4914 0.4085 0.1596
O 0.5086 0.5915 0.8404
O 0.5086 0.9085 0.3404
O 0.5171 0.2327 0.2557
O 0.5171 0.2673 0.7557
O 0.6453 0.5772 0.9998
O 0.6453 0.9228 0.4998
O 0.6738 0.1808 0.1923
O 0.6738 0.3192 0.6923
O 0.7145 0.7138 0.3118
O 0.7145 0.7862 0.8118
O 0.8432 0.5371 0.5413
O 0.8432 0.9629 0.0413
O 0.9285 0.6018 0.6474
O 0.9285 0.8982 0.1474
O 0.9602 0.0856 0.6650
O 0.9602 0.4144 0.1650

b.
This record from the Materials Project database describes NaO8 after structural relaxation. The functional is PBE.

Cell: 4.6491 18.3867 7.2674 Å, 90.00 90.98 90.00°
Fractional coordinates of all 36 atoms:
Na 0.0364 0.1835 0.0410
Na 0.0364 0.3165 0.5410
Na 0.9636 0.6835 0.4590
Na 0.9636 0.8165 0.9590
O 0.0574 0.0441 0.3100
O 0.0574 0.4559 0.8100
O 0.0615 0.5657 0.3466
O 0.0615 0.9343 0.8466
O 0.1955 0.0928 0.4057
O 0.1955 0.4072 0.9057
O 0.1997 0.2307 0.7620
O 0.1997 0.2693 0.2620
O 0.3677 0.5906 0.7174
O 0.3677 0.9094 0.2174
O 0.4118 0.0691 0.8564
O 0.4118 0.4309 0.3564
O 0.4466 0.7024 0.3594
O 0.4466 0.7976 0.8594
O 0.4820 0.2470 0.7630
O 0.4820 0.2530 0.2630
O 0.5180 0.7470 0.7370
O 0.5180 0.7530 0.2370
O 0.5534 0.2024 0.1406
O 0.5534 0.2976 0.6406
O 0.5882 0.5691 0.6436
O 0.5882 0.9309 0.1436
O 0.6323 0.0906 0.7826
O 0.6323 0.4094 0.2826
O 0.8003 0.7307 0.7380
O 0.8003 0.7693 0.2380
O 0.8045 0.5928 0.0943
O 0.8045 0.9072 0.5943
O 0.9385 0.0657 0.1534
O 0.9385 0.4343 0.6534
O 0.9426 0.5441 0.1900
O 0.9426 0.9559 0.6900

Relative energies, eV/atom: a 0.054; b 0.000.

a.
This record from the Materials Project database describes NaPO after structural relaxation. The functional is PBE.

Cell: 5.8404 5.8404 5.8404 Å, 102.57 83.76 153.02°
Fractional coordinates of all 6 atoms:
Na 0.0000 0.0000 0.0000
Na 0.5000 0.0000 0.5000
P 0.5000 0.0000 0.0000
P 0.5000 0.5000 0.5000
O 0.4660 0.7160 0.7500
O 0.5340 0.2840 0.2500

b.
This record from the Materials Project database describes NaPO after structural relaxation. The functional is PBE.

Cell: 5.7678 5.7678 5.7678 Å, 115.97 72.91 148.87°
Fractional coordinates of all 6 atoms:
Na 0.0000 0.0000 0.0000
Na 0.5000 0.0000 0.5000
P 0.5000 0.0000 0.0000
P 0.5000 0.5000 0.5000
O 0.0072 0.7572 0.2500
O 0.9928 0.2428 0.7500

Relative energies, eV/atom: a 0.000; b 0.269.